Compound: CoP3O9
Source: the Materials Project database
Functional: PBE+U
Structure: relaxed

a b c (Å): 8.247 8.394 8.400
angles (deg): 90.00 90.00 90.00
Positions (direct):
Co 0.134 0.145 0.352
Co 0.366 0.855 0.852
Co 0.634 0.355 0.648
Co 0.866 0.645 0.148
P 0.033 0.681 0.817
P 0.173 0.513 0.307
P 0.211 0.187 0.951
P 0.289 0.813 0.451
P 0.327 0.487 0.807
P 0.467 0.319 0.317
P 0.533 0.819 0.183
P 0.673 0.987 0.693
P 0.711 0.313 0.049
P 0.789 0.687 0.549
P 0.827 0.013 0.193
P 0.967 0.181 0.683
O 0.047 0.223 0.851
O 0.088 0.369 0.374
O 0.098 0.598 0.167
O 0.105 0.131 0.577
O 0.139 0.815 0.874
O 0.143 0.532 0.760
O 0.160 0.153 0.117
O 0.178 0.920 0.357
O 0.206 0.638 0.449
O 0.294 0.362 0.949
O 0.322 0.080 0.857
O 0.340 0.847 0.617
O 0.357 0.468 0.260
O 0.361 0.185 0.374
O 0.395 0.869 0.077
O 0.402 0.402 0.667
O 0.412 0.631 0.874
O 0.453 0.777 0.351
O 0.547 0.277 0.149
O 0.588 0.131 0.626
O 0.598 0.902 0.833
O 0.605 0.369 0.423
O 0.639 0.685 0.126
O 0.643 0.968 0.240
O 0.660 0.347 0.883
O 0.678 0.580 0.643
O 0.706 0.862 0.551
O 0.794 0.138 0.051
O 0.822 0.420 0.143
O 0.840 0.653 0.383
O 0.857 0.032 0.740
O 0.861 0.315 0.626
O 0.895 0.631 0.923
O 0.902 0.098 0.333
O 0.912 0.869 0.126
O 0.953 0.723 0.649

Values from the calculation:
Energy with MP2020 corrections, eV per cell: -390.3
Space-group type: P2_12_12_1, No. 19
Energy above the lowest structure with this stoichiometry, meV/atom: 35